Density functional theory data (GGA-PBE) for Na2Sc4Al4SiS11O48 after structural relaxation.

abc: 17.163 8.592 22.416
angles: 90.02 89.99 120.04
Fractional coordinates of all 210 atoms:
Na  0.001  0.983  0.495
Na  0.502  0.016  0.000
Na  0.339  0.334  0.836
Na  0.840  0.348  0.832
Na  0.332  0.330  0.333
Na  0.842  0.346  0.332
Sc  0.998  0.990  0.857
Sc  0.500  0.005  0.858
Sc  0.001  0.993  0.648
Sc  0.500  0.000  0.640
Sc  0.337  0.338  0.684
Sc  0.835  0.341  0.685
Sc  0.337  0.334  0.983
Sc  0.838  0.343  0.474
Sc  0.663  0.655  0.026
Sc  0.161  0.673  0.515
Sc  0.159  0.664  0.810
Sc  0.666  0.661  0.815
Al  0.002  0.997  0.349
Al  0.500  0.001  0.353
Al  0.999  0.000  0.147
Al  0.500  0.000  0.153
Al  0.326  0.329  0.183
Al  0.841  0.340  0.185
Al  0.836  0.336  0.986
Al  0.335  0.334  0.479
Al  0.164  0.662  0.023
Al  0.665  0.667  0.515
Al  0.166  0.667  0.313
Al  0.663  0.662  0.311
Si  0.996  0.702  0.750
Si  0.518  0.374  0.919
Si  0.023  0.677  0.408
S  0.145  0.003  0.247
S  0.644  0.000  0.253
S  0.356  0.712  0.253
S  0.855  0.711  0.248
S  0.001  0.284  0.250
S  0.499  0.287  0.250
S  0.150  0.291  0.751
S  0.644  0.290  0.749
S  0.501  0.711  0.750
S  0.355  0.000  0.749
S  0.854  0.002  0.751
S  0.482  0.345  0.575
S  0.982  0.332  0.581
S  0.192  0.052  0.577
S  0.688  0.029  0.578
S  0.333  0.618  0.577
S  0.825  0.628  0.578
S  0.475  0.631  0.092
S  0.978  0.627  0.085
S  0.334  0.035  0.089
S  0.841  0.059  0.088
S  0.183  0.332  0.087
S  0.691  0.319  0.089
S  0.305  0.663  0.923
S  0.813  0.653  0.923
S  0.019  0.380  0.925
S  0.165  0.948  0.924
S  0.676  0.972  0.922
S  0.317  0.964  0.411
S  0.806  0.939  0.411
S  0.170  0.376  0.411
S  0.658  0.377  0.411
S  0.523  0.670  0.414
O  0.106  0.044  0.300
O  0.603  0.038  0.305
O  0.416  0.793  0.305
O  0.914  0.794  0.300
O  0.482  0.168  0.302
O  0.980  0.166  0.304
O  0.107  0.185  0.805
O  0.601  0.183  0.803
O  0.488  0.790  0.805
O  0.984  0.798  0.809
O  0.410  0.028  0.803
O  0.909  0.036  0.806
O  0.399  0.988  0.694
O  0.899  0.989  0.697
O  0.098  0.211  0.697
O  0.590  0.203  0.694
O  0.007  0.812  0.688
O  0.503  0.811  0.696
O  0.397  0.829  0.200
O  0.895  0.824  0.194
O  0.011  0.195  0.197
O  0.518  0.207  0.196
O  0.087  0.970  0.194
O  0.586  0.968  0.199
O  0.445  0.379  0.630
O  0.938  0.349  0.635
O  0.241  0.140  0.632
O  0.742  0.103  0.632
O  0.321  0.515  0.632
O  0.812  0.523  0.632
O  0.427  0.508  0.143
O  0.939  0.510  0.139
O  0.317  0.125  0.140
O  0.826  0.143  0.142
O  0.244  0.370  0.140
O  0.747  0.342  0.143
O  0.220  0.289  0.035
O  0.731  0.289  0.035
O  0.422  0.562  0.037
O  0.917  0.544  0.034
O  0.356  0.149  0.035
O  0.857  0.176  0.035
O  0.239  0.162  0.523
O  0.730  0.146  0.526
O  0.346  0.527  0.524
O  0.842  0.543  0.526
O  0.421  0.313  0.523
O  0.927  0.312  0.527
O  0.261  0.685  0.977
O  0.768  0.675  0.976
O  0.077  0.472  0.978
O  0.574  0.468  0.980
O  0.158  0.840  0.978
O  0.664  0.862  0.975
O  0.281  0.856  0.465
O  0.766  0.828  0.466
O  0.154  0.449  0.466
O  0.645  0.461  0.465
O  0.077  0.707  0.471
O  0.580  0.703  0.466
O  0.075  0.643  0.353
O  0.561  0.631  0.360
O  0.259  0.883  0.358
O  0.750  0.851  0.358
O  0.192  0.497  0.359
O  0.674  0.492  0.358
O  0.054  0.487  0.870
O  0.565  0.490  0.860
O  0.180  0.872  0.869
O  0.693  0.900  0.867
O  0.258  0.649  0.867
O  0.760  0.621  0.868
O  0.012  0.854  0.400
O  0.514  0.832  0.403
O  0.407  0.984  0.401
O  0.898  0.967  0.404
O  0.087  0.200  0.400
O  0.577  0.199  0.402
O  0.009  0.203  0.919
O  0.508  0.175  0.917
O  0.084  0.961  0.920
O  0.595  0.988  0.916
O  0.398  0.820  0.921
O  0.901  0.814  0.919
O  0.490  0.184  0.582
O  0.990  0.169  0.582
O  0.102  0.034  0.578
O  0.598  0.006  0.586
O  0.415  0.795  0.582
O  0.903  0.812  0.582
O  0.483  0.811  0.102
O  0.986  0.805  0.097
O  0.415  0.017  0.101
O  0.922  0.042  0.097
O  0.094  0.174  0.100
O  0.599  0.157  0.097
O  0.345  0.163  0.745
O  0.837  0.154  0.746
O  0.240  0.304  0.747
O  0.731  0.297  0.744
O  0.422  0.526  0.747
O  0.907  0.505  0.746
O  0.345  0.529  0.243
O  0.846  0.528  0.239
O  0.418  0.306  0.241
O  0.920  0.310  0.243
O  0.237  0.171  0.238
O  0.736  0.160  0.244
O  0.310  0.496  0.928
O  0.822  0.490  0.932
O  0.419  0.356  0.922
O  0.928  0.363  0.935
O  0.245  0.129  0.929
O  0.757  0.155  0.931
O  0.328  0.149  0.420
O  0.810  0.115  0.417
O  0.250  0.348  0.420
O  0.737  0.354  0.417
O  0.431  0.509  0.422
O  0.923  0.496  0.413
O  0.174  0.493  0.077
O  0.683  0.481  0.085
O  0.067  0.647  0.075
O  0.564  0.652  0.088
O  0.254  0.857  0.079
O  0.761  0.883  0.081
O  0.188  0.878  0.575
O  0.678  0.850  0.567
O  0.254  0.635  0.569
O  0.742  0.637  0.567
O  0.071  0.492  0.576
O  0.570  0.504  0.564
O  0.159  0.849  0.256
O  0.651  0.836  0.262
O  0.266  0.696  0.262
O  0.765  0.688  0.258
O  0.083  0.459  0.258
O  0.580  0.468  0.259
O  0.164  0.472  0.757
O  0.656  0.470  0.753
O  0.084  0.682  0.755
O  0.585  0.705  0.753
O  0.268  0.839  0.754
O  0.768  0.834  0.757

Output
The space group is P1, No. 1. The calculation puts the energy relative to the elements at -2490.2 meV/atom.